Mg2NbFe after structural relaxation. Source: the Materials Project, functional GGA-PBE.

## Properties
As for the calculated formation energy: 0.561 eV per atom. As for the spin magnetization: 2.44 μB/f.u.

```
Mg2NbFe
1.0
-0.055 -3.900 2.266
-2.473 -3.455 -1.516
2.029 -3.640 -1.726
Nb Mg Fe
1 2 1
direct
0.500 0.500 0.500
0.250 0.250 0.250
0.750 0.750 0.750
0.000 0.000 0.000
```

Ca2SnS4 after structural relaxation. Source: the Materials Project, functional GGA-PBE.

## Properties
The energy relative to the lowest polymorph listed for this composition is 159.3 meV/atom. As for the calculated formation energy: -1.520 eV per atom. As for the spin magnetization: 0.00 μB/f.u.

```
Ca2SnS4
1.0
3.538 -6.972 0.000
3.538 6.972 0.000
0.000 0.000 7.082
Ca S Sn
4 8 2
direct
0.513 0.808 0.481
0.808 0.513 0.519
0.487 0.192 0.981
0.192 0.487 0.019
0.926 0.074 0.750
0.910 0.565 0.897
0.090 0.435 0.397
0.471 0.529 0.750
0.435 0.090 0.603
0.565 0.910 0.103
0.529 0.471 0.250
0.074 0.926 0.250
0.215 0.215 0.500
0.785 0.785 0.000
```

LiB6H10O2 after structural relaxation. Source: the Materials Project, functional GGA-PBE.

## Properties
As for the calculated formation energy: -0.628 eV per atom. As for the spin magnetization: 0.00 μB/f.u.

```
LiB6H10O2
1.0
4.691 5.500 0.000
-4.691 5.500 0.000
0.000 3.518 6.508
H Li B O
20 2 12 4
direct
0.919 0.919 0.680
0.716 0.552 0.838
0.335 0.012 0.634
0.293 0.293 0.868
0.988 0.665 0.366
0.854 0.378 0.057
0.753 0.300 0.382
0.665 0.988 0.366
0.284 0.448 0.162
0.700 0.247 0.618
0.552 0.716 0.838
0.707 0.707 0.132
0.012 0.335 0.634
0.378 0.854 0.057
0.146 0.622 0.943
0.622 0.146 0.943
0.247 0.700 0.618
0.300 0.753 0.382
0.448 0.284 0.162
0.081 0.081 0.320
0.644 0.644 0.482
0.356 0.356 0.518
0.006 0.195 0.787
0.047 0.047 0.188
0.779 0.086 0.966
0.994 0.805 0.213
0.221 0.914 0.034
0.829 0.829 0.076
0.805 0.994 0.213
0.914 0.221 0.034
0.171 0.171 0.924
0.953 0.953 0.812
0.195 0.006 0.787
0.086 0.779 0.966
0.624 0.624 0.766
0.662 0.338 0.500
0.376 0.376 0.234
0.338 0.662 0.500
```

LaNdMg2 after structural relaxation. Source: the Materials Project, functional GGA-PBE.

## Properties
As for the calculated formation energy: -0.104 eV per atom.

```
LaNdMg2
1.0
0.000 3.923 3.923
3.923 0.000 3.923
3.923 3.923 0.000
Mg Nd La
2 1 1
direct
0.750 0.750 0.750
0.250 0.250 0.250
0.000 0.000 0.000
0.500 0.500 0.500
```

CeH14Cl3O7 after structural relaxation. Source: the Materials Project, functional GGA-PBE.

## Properties
The energy relative to the lowest polymorph listed for this composition is 25.9 meV/atom. As for the calculated formation energy: -1.399 eV per atom. As for the spin magnetization: 1.00 μB/f.u.

```
CeH14Cl3O7
1.0
-2.908 6.875 3.554
-4.454 -2.206 7.952
7.821 0.759 2.112
H O Cl Ce
28 14 6 2
direct
0.021 0.296 0.924
0.673 0.861 0.393
0.464 0.818 0.168
0.512 0.390 0.128
0.552 0.199 0.886
0.284 0.842 0.238
0.690 0.161 0.748
0.973 0.541 0.617
0.008 0.978 0.820
0.369 0.166 0.611
0.635 0.600 0.985
0.370 0.741 0.497
0.914 0.192 0.219
0.137 0.554 0.364
0.951 0.406 0.098
0.019 0.036 0.275
0.478 0.616 0.844
0.466 0.383 0.540
0.861 0.847 0.468
0.184 0.150 0.565
0.198 0.460 0.508
0.345 0.408 0.000
0.077 0.798 0.767
0.838 0.467 0.645
0.980 0.766 0.024
0.557 0.636 0.438
0.997 0.598 0.925
0.641 0.260 0.484
0.158 0.450 0.386
0.494 0.711 0.536
0.425 0.337 0.067
0.580 0.650 0.888
0.975 0.884 0.808
0.744 0.864 0.500
0.601 0.125 0.781
0.277 0.169 0.520
0.059 0.343 0.041
0.913 0.694 0.982
0.361 0.896 0.218
0.850 0.566 0.632
0.518 0.298 0.445
0.028 0.115 0.220
0.878 0.239 0.674
0.112 0.795 0.377
0.696 0.498 0.206
0.657 0.993 0.146
0.307 0.010 0.853
0.263 0.531 0.770
0.671 0.834 0.778
0.306 0.180 0.214
```

NaHfInP2SO12 after structural relaxation. Source: the Materials Project, functional GGA-PBE.

## Properties
As for the calculated formation energy: -2.684 eV per atom. As for the spin magnetization: 0.00 μB/f.u.

```
NaHfInP2SO12
1.0
8.858 0.000 0.000
-4.429 7.656 -0.021
0.000 -0.063 23.343
O P Na Hf S In
72 12 6 6 6 6
direct
0.476 0.173 0.244
0.354 0.877 0.862
0.853 0.512 0.421
0.142 0.506 0.577
0.476 0.310 0.744
0.864 0.348 0.923
0.151 0.681 0.757
0.831 0.807 0.589
0.520 0.634 0.863
0.484 0.127 0.635
0.501 0.643 0.577
0.531 0.681 0.257
0.659 0.512 0.921
0.361 0.477 0.364
0.780 0.967 0.696
0.818 0.794 0.301
0.535 0.690 0.970
0.694 0.144 0.031
0.696 0.534 0.245
0.809 0.840 0.910
0.993 0.179 0.588
0.155 0.690 0.470
0.642 0.510 0.636
0.116 0.477 0.864
0.817 0.015 0.090
0.838 0.534 0.745
0.363 0.868 0.578
0.522 0.877 0.362
0.856 0.543 0.028
0.187 0.967 0.196
0.326 0.846 0.255
0.309 0.474 0.756
0.688 0.543 0.528
0.308 0.843 0.970
0.834 0.310 0.244
0.164 0.474 0.256
0.976 0.807 0.089
0.202 0.023 0.303
0.186 0.179 0.088
0.484 0.348 0.423
0.142 0.643 0.077
0.821 0.023 0.803
0.201 0.177 0.803
0.643 0.140 0.423
0.697 0.173 0.744
0.364 0.506 0.077
0.488 0.357 0.137
0.197 0.015 0.590
0.189 0.210 0.695
0.151 0.460 0.968
0.520 0.846 0.755
0.113 0.634 0.363
0.505 0.868 0.078
0.535 0.843 0.470
0.171 0.201 0.411
0.853 0.300 0.529
0.450 0.144 0.531
0.168 0.976 0.910
0.028 0.811 0.698
0.976 0.794 0.801
0.783 0.811 0.198
0.869 0.357 0.637
0.030 0.201 0.911
0.310 0.460 0.468
0.809 0.976 0.410
0.868 0.510 0.136
0.643 0.127 0.135
0.030 0.840 0.410
0.975 0.177 0.303
0.498 0.140 0.923
0.021 0.210 0.195
0.447 0.300 0.029
0.629 0.668 0.917
0.373 0.335 0.083
0.296 0.002 0.250
0.958 0.626 0.083
0.625 0.959 0.416
0.039 0.668 0.417
0.668 0.626 0.583
0.334 0.959 0.916
0.001 0.293 0.250
0.292 0.293 0.750
0.962 0.335 0.583
0.706 0.002 0.750
0.341 0.657 0.670
0.983 0.991 0.504
0.008 0.991 0.004
0.316 0.657 0.170
0.649 0.324 0.837
0.675 0.324 0.337
0.668 0.336 0.686
0.334 0.669 0.020
0.335 0.669 0.520
0.001 0.002 0.353
0.001 0.002 0.853
0.668 0.336 0.186
0.707 0.709 0.250
0.334 0.375 0.416
0.001 0.709 0.750
0.041 0.375 0.916
0.374 0.042 0.583
0.668 0.042 0.083
0.347 0.672 0.816
0.680 0.339 0.482
0.992 0.005 0.649
0.014 0.005 0.149
0.658 0.339 0.982
0.325 0.672 0.316
```